Material: Hf2Ni3P3
Method: DFT, PBE
State: relaxed

## Properties
Symmetry: Pnma

a = 12.2988 Å, b = 3.6045 Å, c = 9.9989 Å
α = 90.00°, β = 90.00°, γ = 90.00°
With the nearest neighbours (Å) after each atom.
Atoms (fractional coordinates):
1 Hf 0.0051 0.2500 0.1641  6 P 2.59-2.72, 3 Ni 2.74-2.89
2 Hf 0.2097 0.7500 0.5730  6 P 2.71-2.84, 5 Ni 2.90-3.00
3 Hf 0.2903 0.2500 0.0730  6 P 2.71-2.84, 5 Ni 2.90-3.00
4 Hf 0.4949 0.7500 0.6641  6 P 2.59-2.72, 3 Ni 2.74-2.89
5 Hf 0.5051 0.2500 0.3359  6 P 2.59-2.72, 3 Ni 2.74-2.89
6 Hf 0.7097 0.7500 0.9270  6 P 2.71-2.84, 5 Ni 2.90-3.00
7 Hf 0.7903 0.2500 0.4270  6 P 2.71-2.84, 5 Ni 2.90-3.00
8 Hf 0.9949 0.7500 0.8359  6 P 2.59-2.72, 3 Ni 2.74-2.89
9 Ni 0.0159 0.2500 0.5953  4 P 2.25-2.32
10 Ni 0.1660 0.7500 0.2740  4 P 2.25-2.34, 2 Ni 2.48
11 Ni 0.2163 0.7500 0.8642  4 P 2.19-2.26
12 Ni 0.2837 0.2500 0.3642  4 P 2.19-2.26
13 Ni 0.3340 0.2500 0.7740  4 P 2.25-2.34, 2 Ni 2.48
14 Ni 0.4841 0.7500 0.0953  4 P 2.25-2.32
15 Ni 0.5159 0.2500 0.9047  4 P 2.25-2.32
16 Ni 0.6660 0.7500 0.2260  4 P 2.25-2.34, 2 Ni 2.48
17 Ni 0.7163 0.7500 0.6358  4 P 2.19-2.26
18 Ni 0.7837 0.2500 0.1358  4 P 2.19-2.26
19 Ni 0.8340 0.2500 0.7260  4 P 2.25-2.34, 2 Ni 2.48
20 Ni 0.9841 0.7500 0.4047  4 P 2.25-2.32
21 P 0.1025 0.2500 0.3971  6 Ni 2.25-2.32
22 P 0.1268 0.7500 0.0539  2 Ni 2.19-2.25
23 P 0.1437 0.2500 0.7610  4 Ni 2.26-2.34
24 P 0.3563 0.7500 0.2610  4 Ni 2.26-2.34
25 P 0.3732 0.2500 0.5539  2 Ni 2.19-2.25
26 P 0.3975 0.7500 0.8971  6 Ni 2.25-2.32
27 P 0.6025 0.2500 0.1029  6 Ni 2.25-2.32
28 P 0.6268 0.7500 0.4461  2 Ni 2.19-2.25
29 P 0.6437 0.2500 0.7390  4 Ni 2.26-2.34
30 P 0.8563 0.7500 0.2390  4 Ni 2.26-2.34
31 P 0.8732 0.2500 0.9461  2 Ni 2.19-2.25
32 P 0.8975 0.7500 0.6029  6 Ni 2.25-2.32

Material: Na6Y4Hf4Si5S7O48
Method: DFT, PBE
State: relaxed

## Properties
Symmetry: P1
M_tot (μB per cell): 0.004

a = 9.1022 Å, b = 15.8746 Å, c = 23.5975 Å
α = 90.37°, β = 90.03°, γ = 90.01°
With the nearest neighbours (Å) after each atom.
Atoms (fractional coordinates):
1 Na 0.0000 0.0000 0.0000  5 O 2.43-2.72
2 Na 0.9996 0.3186 0.6559  3 O 2.38-2.66
3 Na 0.0116 0.6696 0.3393  4 O 2.52-2.67
4 Na 0.1117 0.4924 0.7439  5 O 2.37-2.56
5 Na 0.1300 0.1573 0.0830  5 O 2.41-2.66
6 Na 0.3321 0.6580 0.5683  2 O 2.28-2.40
7 Na 0.3444 0.9946 0.2472  4 O 2.28-2.53
8 Na 0.4593 0.1672 0.8433  4 O 2.42-2.68
9 Na 0.4691 0.8245 0.1606  5 O 2.54-2.84
10 Na 0.4734 0.4982 0.4935  3 O 2.31-2.56
11 Na 0.4921 0.8389 0.6767  2 O 2.36-2.38
12 Na 0.4959 0.5020 0.0072  3 O 2.40-2.67
13 Na 0.4978 0.1818 0.3281  2 O 2.30-2.49
14 Na 0.6121 0.9923 0.7515  4 O 2.35-2.47
15 Na 0.8625 0.4925 0.2527  4 O 2.29-2.46
16 Na 0.9437 0.6869 0.8380  2 O 2.37-2.52
17 Na 0.9685 0.0004 0.4985  5 O 2.48-2.77
18 Na 0.9861 0.3225 0.1850  3 O 2.34-2.38
19 Y 0.0057 0.6653 0.1882  3 O 2.06-2.31
20 Y 0.4628 0.1639 0.6885  2 O 2.06-2.16
21 Y 0.4795 0.1614 0.1915  6 O 2.17-2.38
22 Y 0.4820 0.4894 0.6438  6 O 2.13-2.34
23 Y 0.4946 0.8165 0.3246  2 O 2.07-2.09
24 Y 0.4977 0.8247 0.8175  5 O 2.13-2.34
25 Y 0.4980 0.8284 0.5115  3 O 2.06-2.28
26 Y 0.9738 0.3263 0.0141  2 O 2.08-2.14
27 Y 0.9751 0.3183 0.3146  4 O 2.12-2.29
28 Y 0.9769 0.3148 0.8247  2 O 2.07
29 Y 0.9788 0.6643 0.6883  6 O 2.16-2.40
30 Y 0.9910 0.9944 0.1473  3 O 2.08-2.26
31 Hf 0.0012 0.9928 0.6502  4 O 1.93-2.14
32 Hf 0.4661 0.4929 0.1513  4 O 1.91-2.14
33 Hf 0.4707 0.4930 0.3527  3 O 1.91-2.04
34 Hf 0.4766 0.1595 0.9820  5 O 1.96-2.19
35 Hf 0.4784 0.8213 0.0215  5 O 1.95-2.16
36 Hf 0.4790 0.1562 0.4850  6 O 1.97-2.15
37 Hf 0.4969 0.4975 0.8626  4 O 1.91-2.13
38 Hf 0.9757 0.0036 0.3589  5 O 1.97-2.19
39 Hf 0.9876 0.6567 0.9863  6 O 1.96-2.19
40 Hf 0.9923 0.3224 0.5205  4 O 1.96-2.13
41 Hf 0.9926 0.6585 0.4801  4 O 1.95-2.10
42 Hf 0.9993 0.9922 0.8539  3 O 1.92-2.02
43 Si 0.1218 0.5130 0.5883  4 O 1.64-1.67
44 Si 0.1329 0.1376 0.2517  4 O 1.61-1.66
45 Si 0.1329 0.1704 0.9230  4 O 1.62-1.65
46 Si 0.1813 0.1581 0.5842  4 O 1.63-1.65
47 Si 0.1859 0.4965 0.2536  4 O 1.60-1.66
48 Si 0.2819 0.9936 0.7531  4 O 1.62-1.65
49 Si 0.2873 0.6566 0.0833  4 O 1.62-1.66
50 Si 0.3395 0.6701 0.4233  4 O 1.62-1.66
51 Si 0.3435 0.0113 0.0860  4 O 1.63-1.66
52 Si 0.6252 0.3529 0.2512  4 O 1.61-1.67
53 Si 0.6418 0.6815 0.9196  4 O 1.61-1.67
54 Si 0.6756 0.3249 0.9190  4 O 1.62-1.67
55 Si 0.7992 0.8282 0.4187  4 O 1.62-1.65
56 Si 0.8283 0.1816 0.4209  4 O 1.60-1.66
57 Si 0.8450 0.8517 0.7516  4 O 1.63-1.66
58 S 0.1298 0.8091 0.5842  4 O 1.48-1.49
59 S 0.1311 0.8512 0.2567  4 O 1.47-1.50
60 S 0.1348 0.4817 0.9153  4 O 1.47-1.50
61 S 0.1857 0.8252 0.9212  4 O 1.47-1.50
62 S 0.2849 0.3265 0.4224  4 O 1.47-1.50
63 S 0.3323 0.9810 0.4173  4 O 1.47-1.50
64 S 0.3380 0.3538 0.7562  4 O 1.48-1.49
65 S 0.3410 0.3097 0.0833  4 O 1.48-1.49
66 S 0.3405 0.6346 0.7531  4 O 1.47-1.49
67 S 0.6223 0.6361 0.2506  4 O 1.48-1.49
68 S 0.6327 0.0146 0.5872  4 O 1.48-1.50
69 S 0.6358 0.9754 0.9212  4 O 1.47-1.49
70 S 0.6369 0.3039 0.5828  4 O 1.48-1.49
71 S 0.6867 0.6633 0.5843  4 O 1.47-1.50
72 S 0.6922 0.9907 0.2546  4 O 1.47-1.49
73 S 0.7766 0.4931 0.7552  4 O 1.47-1.50
74 S 0.7775 0.1615 0.0836  4 O 1.47-1.50
75 S 0.8328 0.8047 0.0822  4 O 1.47-1.50
76 S 0.8342 0.4743 0.4218  4 O 1.48-1.50
77 S 0.8358 0.5153 0.0867  4 O 1.47-1.52
78 S 0.8472 0.1359 0.7507  4 O 1.47-1.49
79 O 0.0523 0.4200 0.5742  1 Si 1.64
80 O 0.0527 0.0780 0.9139  1 Si 1.65
81 O 0.0590 0.8933 0.5902  1 S 1.49
82 O 0.0647 0.7658 0.2557  1 S 1.48
83 O 0.0658 0.2310 0.2557  1 Si 1.61
84 O 0.0675 0.5666 0.9251  1 S 1.50
85 O 0.0676 0.7678 0.5333  1 S 1.48
86 O 0.0693 0.5459 0.6514  1 Si 1.65
87 O 0.0705 0.2130 0.9813  1 Si 1.63
88 O 0.0705 0.4453 0.8636  1 S 1.47
89 O 0.0760 0.8965 0.3068  1 S 1.47
90 O 0.0770 0.0749 0.3033  1 Si 1.66
91 O 0.0782 0.0734 0.5896  1 Si 1.65
92 O 0.0783 0.2423 0.5745  1 Si 1.65
93 O 0.0778 0.5798 0.2529  1 Si 1.65
94 O 0.0798 0.5853 0.5410  1 Si 1.65
95 O 0.0815 0.0963 0.1907  1 Si 1.65
96 O 0.0846 0.4142 0.2558  1 Si 1.60
97 O 0.0872 0.7510 0.9309  1 S 1.50
98 O 0.0903 0.9014 0.9159  1 S 1.49
99 O 0.0950 0.8957 0.2033  1 S 1.48
100 O 0.1026 0.7568 0.6350  1 S 1.48
101 O 0.1087 0.2308 0.8685  1 Si 1.62
102 O 0.1139 0.4278 0.9653  1 S 1.47
103 O 0.1599 0.6543 0.4287  1 Si 1.66
104 O 0.1618 0.0069 0.0823  1 Si 1.66
105 O 0.1714 0.6471 0.0295  1 Si 1.66
106 O 0.1722 0.9934 0.4117  1 S 1.48
107 O 0.1751 0.0013 0.8092  1 Si 1.65
108 O 0.1750 0.3481 0.7581  1 S 1.49
109 O 0.1765 0.9923 0.6959  1 Si 1.65
110 O 0.1770 0.6365 0.7529  1 S 1.49
111 O 0.1799 0.3197 0.0780  1 S 1.48
112 O 0.1881 0.3403 0.4724  1 S 1.49
113 O 0.1941 0.6757 0.1402  1 Si 1.62
114 O 0.1994 0.3114 0.3706  1 S 1.47
115 O 0.2707 0.8102 0.8694  1 S 1.47
116 O 0.2734 0.1776 0.6419  1 Si 1.63
117 O 0.2825 0.8387 0.9709  1 S 1.48
118 O 0.2910 0.4948 0.1962  1 Si 1.66
119 O 0.2914 0.8188 0.5797  1 S 1.48
120 O 0.2943 0.5048 0.3094  1 Si 1.65
121 O 0.2951 0.8461 0.2584  1 S 1.50
122 O 0.2958 0.4956 0.9077  1 S 1.49
123 O 0.2980 0.1473 0.5313  1 Si 1.65
124 O 0.3053 0.5102 0.5864  1 Si 1.67
125 O 0.3119 0.1551 0.9283  1 Si 1.65
126 O 0.3135 0.1363 0.2560  1 Si 1.65
127 O 0.3594 0.9285 0.4674  1 S 1.47
128 O 0.3653 0.7322 0.3703  1 Si 1.62
129 O 0.3672 0.2572 0.1338  1 S 1.48
130 O 0.3733 0.3998 0.7033  1 S 1.49
131 O 0.3803 0.4024 0.4172  1 S 1.49
132 O 0.3817 0.2520 0.4328  1 S 1.50
133 O 0.3822 0.9093 0.7544  1 Si 1.62
134 O 0.3845 0.5810 0.8019  1 S 1.49
135 O 0.3895 0.0820 0.0378  1 Si 1.66
136 O 0.3900 0.5721 0.0878  1 Si 1.64
137 O 0.3907 0.7407 0.0736  1 Si 1.65
138 O 0.3925 0.4017 0.8059  1 S 1.48
139 O 0.3933 0.0754 0.7523  1 Si 1.65
140 O 0.3953 0.5968 0.6996  1 S 1.48
141 O 0.3969 0.9441 0.3655  1 S 1.47
142 O 0.3987 0.7118 0.4828  1 Si 1.64
143 O 0.4002 0.0439 0.1479  1 Si 1.63
144 O 0.3997 0.7206 0.7581  1 S 1.47
145 O 0.4011 0.0661 0.4262  1 S 1.50
146 O 0.4037 0.2687 0.0320  1 S 1.48
147 O 0.4074 0.2694 0.7556  1 S 1.48
148 O 0.4117 0.3941 0.0889  1 S 1.49
149 O 0.4155 0.9185 0.0711  1 Si 1.65
150 O 0.4190 0.5780 0.4149  1 Si 1.64
151 O 0.5532 0.2601 0.2491  1 Si 1.61
152 O 0.5562 0.7211 0.2524  1 S 1.48
153 O 0.5613 0.9309 0.5827  1 S 1.48
154 O 0.5619 0.7316 0.9715  1 Si 1.63
155 O 0.5636 0.4067 0.9086  1 Si 1.67
156 O 0.5639 0.5865 0.9132  1 Si 1.67
157 O 0.5654 0.5931 0.1987  1 S 1.49
158 O 0.5663 0.3882 0.5843  1 S 1.49
159 O 0.5676 0.4045 0.3084  1 Si 1.66
160 O 0.5689 0.9450 0.8670  1 S 1.49
161 O 0.5707 0.2566 0.5347  1 S 1.48
162 O 0.5754 0.0614 0.9317  1 S 1.49
163 O 0.5749 0.2417 0.9294  1 Si 1.63
164 O 0.5790 0.4106 0.1952  1 Si 1.67
165 O 0.5804 0.0556 0.6404  1 S 1.49
166 O 0.5845 0.7367 0.5832  1 S 1.49
167 O 0.5860 0.5875 0.3026  1 S 1.49
168 O 0.5859 0.9191 0.2581  1 S 1.49
169 O 0.5920 0.0674 0.5373  1 S 1.50
170 O 0.5937 0.5853 0.5862  1 S 1.50
171 O 0.5983 0.9184 0.9681  1 S 1.47
172 O 0.6065 0.0703 0.2542  1 S 1.49
173 O 0.6141 0.2590 0.6367  1 S 1.48
174 O 0.6239 0.7323 0.8611  1 Si 1.61
175 O 0.6541 0.1643 0.4364  1 Si 1.65
176 O 0.6646 0.8473 0.7523  1 Si 1.64
177 O 0.6723 0.4813 0.4175  1 S 1.48
178 O 0.6719 0.8151 0.0737  1 S 1.49
179 O 0.6738 0.5075 0.0875  1 S 1.48
180 O 0.6782 0.4971 0.8058  1 S 1.49
181 O 0.6835 0.1611 0.0327  1 S 1.47
182 O 0.6847 0.1410 0.7477  1 S 1.48
183 O 0.6880 0.4870 0.7031  1 S 1.47
184 O 0.6908 0.1677 0.1360  1 S 1.47
185 O 0.6975 0.8090 0.3637  1 Si 1.62
186 O 0.6979 0.8511 0.4738  1 Si 1.63
187 O 0.7717 0.3105 0.8621  1 Si 1.62
188 O 0.7731 0.6700 0.6372  1 S 1.48
189 O 0.7769 0.3507 0.9728  1 Si 1.62
190 O 0.7798 0.9802 0.2028  1 S 1.47
191 O 0.7810 0.6588 0.5341  1 S 1.47
192 O 0.7844 0.6408 0.2475  1 S 1.48
193 O 0.7873 0.9924 0.3061  1 S 1.49
194 O 0.7951 0.0066 0.5885  1 S 1.48
195 O 0.7968 0.3161 0.5749  1 S 1.48
196 O 0.7976 0.9822 0.9158  1 S 1.48
197 O 0.8039 0.3524 0.2526  1 Si 1.63
198 O 0.8177 0.6644 0.9318  1 Si 1.65
199 O 0.8414 0.2352 0.3642  1 Si 1.60
200 O 0.8543 0.7588 0.1357  1 S 1.47
201 O 0.8682 0.0828 0.0830  1 S 1.50
202 O 0.8684 0.5713 0.7556  1 S 1.50
203 O 0.8730 0.4186 0.4695  1 S 1.48
204 O 0.8754 0.5692 0.0362  1 S 1.52
205 O 0.8772 0.4198 0.7582  1 S 1.48
206 O 0.8818 0.2348 0.0825  1 S 1.50
207 O 0.8835 0.0870 0.8027  1 S 1.49
208 O 0.8869 0.9090 0.6953  1 Si 1.66
209 O 0.8881 0.5571 0.1392  1 S 1.48
210 O 0.8939 0.5609 0.4334  1 S 1.50
211 O 0.8956 0.7425 0.4312  1 Si 1.65
212 O 0.8969 0.7556 0.0339  1 S 1.50
213 O 0.8983 0.9033 0.8090  1 Si 1.65
214 O 0.9010 0.4447 0.3680  1 S 1.48
215 O 0.9030 0.0924 0.6989  1 S 1.49
216 O 0.9028 0.8880 0.0829  1 S 1.47
217 O 0.9062 0.0872 0.4151  1 Si 1.66
218 O 0.9080 0.2324 0.4736  1 Si 1.64
219 O 0.9085 0.4330 0.0809  1 S 1.47
220 O 0.9104 0.9078 0.4082  1 Si 1.64
221 O 0.9133 0.2206 0.7523  1 S 1.47
222 O 0.9202 0.7585 0.7508  1 Si 1.63

Material: CeAgP2
Method: DFT, PBE
State: relaxed

## Properties
Symmetry: C2/c
M_tot (μB per cell): 1.898

a = 5.4979 Å, b = 5.4979 Å, c = 11.0751 Å
α = 95.14°, β = 95.14°, γ = 86.26°
With the nearest neighbours (Å) after each atom.
Atoms (fractional coordinates):
1 Ce 0.1101 0.3141 0.1592  7 P 2.81-3.06
2 Ce 0.3141 0.1101 0.6592  7 P 2.81-3.06
3 Ce 0.6859 0.8899 0.3408  7 P 2.81-3.06
4 Ce 0.8899 0.6859 0.8408  7 P 2.81-3.06
5 Ag 0.1917 0.6365 0.4610  4 P 2.59-2.88
6 Ag 0.3635 0.8083 0.0390  4 P 2.59-2.88
7 Ag 0.6365 0.1917 0.9610  4 P 2.59-2.88
8 Ag 0.8083 0.3635 0.5390  4 P 2.59-2.88
9 P 0.1002 0.1790 0.9032  1 P 2.66, 3 Ag 2.68-2.96, 1 Ce 2.86
10 P 0.1790 0.1002 0.4032  1 P 2.66, 3 Ag 2.68-2.96, 1 Ce 2.86
11 P 0.3817 0.5131 0.8380  1 P 2.22
12 P 0.4869 0.6183 0.6620  1 P 2.22
13 P 0.5131 0.3817 0.3380  1 P 2.22
14 P 0.6183 0.4869 0.1620  1 P 2.22
15 P 0.8210 0.8998 0.5968  1 P 2.66, 3 Ag 2.68-2.96, 1 Ce 2.86
16 P 0.8998 0.8210 0.0968  1 P 2.66, 3 Ag 2.68-2.96, 1 Ce 2.86

Material: NaEuAu2
Method: DFT, PBE
State: relaxed

## Properties
Symmetry: Fm-3m
M_tot (μB per cell): 28.280

a = 7.3772 Å, b = 7.3772 Å, c = 7.3772 Å
α = 90.00°, β = 90.00°, γ = 90.00°
With the nearest neighbours (Å) after each atom.
Atoms (fractional coordinates):
1 Na 0.0000 0.0000 0.0000  8 Au 3.19
2 Na 0.0000 0.5000 0.5000  8 Au 3.19
3 Na 0.5000 0.0000 0.5000  8 Au 3.19
4 Na 0.5000 0.5000 0.0000  8 Au 3.19
5 Eu 0.0000 0.0000 0.5000  8 Au 3.19
6 Eu 0.0000 0.5000 0.0000  8 Au 3.19
7 Eu 0.5000 0.0000 0.0000  8 Au 3.19
8 Eu 0.5000 0.5000 0.5000  8 Au 3.19
9 Au 0.2500 0.2500 0.2500  4 Na 3.19, 4 Eu 3.19
10 Au 0.2500 0.2500 0.7500  4 Na 3.19, 4 Eu 3.19
11 Au 0.2500 0.7500 0.2500  4 Na 3.19, 4 Eu 3.19
12 Au 0.2500 0.7500 0.7500  4 Na 3.19, 4 Eu 3.19
13 Au 0.7500 0.2500 0.2500  4 Na 3.19, 4 Eu 3.19
14 Au 0.7500 0.2500 0.7500  4 Na 3.19, 4 Eu 3.19
15 Au 0.7500 0.7500 0.2500  4 Na 3.19, 4 Eu 3.19
16 Au 0.7500 0.7500 0.7500  4 Na 3.19, 4 Eu 3.19

Material: Ag6GeSO8
Method: DFT, PBE
State: relaxed

## Properties
Symmetry: I4_1/amd
M_tot (μB per cell): 0.003

a = 10.5473 Å, b = 10.5473 Å, c = 10.5473 Å
α = 140.53°, β = 140.53°, γ = 57.05°
With the nearest neighbours (Å) after each atom.
Atoms (fractional coordinates):
1 Ag 0.0000 0.2070 0.2070  2 O 2.21
2 Ag 0.0000 0.7930 0.7930  2 O 2.21
3 Ag 0.1111 0.3611 0.7500  4 O 2.44-2.59
4 Ag 0.2070 0.0000 0.7070  2 O 2.21
5 Ag 0.2070 0.5000 0.2070  2 O 2.21
6 Ag 0.3611 0.1111 0.2500  4 O 2.44-2.59
7 Ag 0.5000 0.2070 0.7070  2 O 2.21
8 Ag 0.5000 0.7930 0.2930  2 O 2.21
9 Ag 0.6389 0.8889 0.7500  4 O 2.44-2.59
10 Ag 0.7930 0.0000 0.2930  2 O 2.21
11 Ag 0.7930 0.5000 0.7930  2 O 2.21
12 Ag 0.8889 0.6389 0.2500  4 O 2.44-2.59
13 Ge 0.1250 0.8750 0.2500  4 O 1.79
14 Ge 0.8750 0.1250 0.7500  4 O 1.79
15 S 0.3750 0.6250 0.7500  4 O 1.50
16 S 0.6250 0.3750 0.2500  4 O 1.50
17 O 0.1365 0.1796 0.9569  1 Ge 1.79
18 O 0.1564 0.5785 0.5780  1 S 1.50
19 O 0.1796 0.1365 0.4569  1 Ge 1.79
20 O 0.1796 0.7227 0.0431  1 Ge 1.79
21 O 0.2773 0.8204 0.4569  1 Ge 1.79
22 O 0.4215 0.4995 0.5780  1 S 1.50
23 O 0.4215 0.8436 0.9220  1 S 1.50
24 O 0.4995 0.4215 0.0780  1 S 1.50
25 O 0.5005 0.5785 0.9220  1 S 1.50
26 O 0.5785 0.1564 0.0780  1 S 1.50
27 O 0.5785 0.5005 0.4220  1 S 1.50
28 O 0.7227 0.1796 0.5431  1 Ge 1.79
29 O 0.8204 0.2773 0.9569  1 Ge 1.79
30 O 0.8204 0.8635 0.5431  1 Ge 1.79
31 O 0.8436 0.4215 0.4220  1 S 1.50
32 O 0.8635 0.8204 0.0431  1 Ge 1.79

Material: LuAl2Ge2
Method: DFT, PBE
State: relaxed

## Properties
Symmetry: P-3m1

a = 4.2826 Å, b = 4.2826 Å, c = 6.4448 Å
α = 90.00°, β = 90.00°, γ = 120.00°
With the nearest neighbours (Å) after each atom.
Atoms (fractional coordinates):
1 Lu 0.0000 0.0000 0.0000  6 Ge 2.96
2 Al 0.3333 0.6667 0.6506  4 Ge 2.55-2.57
3 Al 0.6667 0.3333 0.3494  4 Ge 2.55-2.57
4 Ge 0.3333 0.6667 0.2515  4 Al 2.55-2.57
5 Ge 0.6667 0.3333 0.7485  4 Al 2.55-2.57

Number 1: total DFT energy (no corrections) -7.686 eV/atom. Number 2: total DFT energy (no corrections) -7.379 eV/atom. Number 3: total DFT energy (no corrections) -5.461 eV/atom. Number 4: total DFT energy (no corrections) -5.118 eV/atom. Number 5: total DFT energy (no corrections) -4.828 eV/atom. Number 6: total DFT energy (no corrections) -4.611 eV/atom.